Mn2Ni6Te3PbO18 r2SCAN relaxed; ΔH_f (0 K) = -41.023 eV per formula unit; ρ = 6.8 Mg/m³; total energy = -764.6 eV for the cell shown; V = 10.9 Å³ per atom; total moment = 2.00 μB per formula unit
1.0
4.635 -8.027 0.000
4.635 8.028 0.000
0.000 0.000 8.820
Ni O Te Mn Pb
12 36 6 4 2
Cartesian
1.731 -2.795 5.191
6.190 -5.131 8.038
1.731 -2.795 8.038
7.539 2.795 3.628
5.983 -0.101 8.038
3.079 5.131 3.628
6.190 -5.131 5.191
7.539 2.795 0.782
3.286 0.101 3.628
5.983 -0.101 5.191
3.079 5.131 0.782
3.286 0.101 0.782
6.902 0.802 0.804
3.408 3.817 5.175
5.953 -3.597 6.615
5.861 -3.817 0.765
1.852 1.511 6.615
5.010 -1.043 0.765
3.317 3.597 2.205
5.861 -3.817 3.645
6.237 3.167 5.175
3.033 -3.167 3.645
6.902 0.802 3.606
3.033 -3.167 0.765
5.124 5.577 0.804
2.367 -0.801 5.214
4.259 1.043 5.175
6.091 3.357 2.205
7.418 -1.511 2.205
2.367 -0.801 8.016
7.392 -1.649 5.214
1.878 1.649 0.804
2.234 -0.848 2.205
6.237 3.167 8.055
5.017 5.668 6.615
4.259 1.043 8.055
4.145 -5.577 5.214
4.774 -1.074 6.615
7.392 -1.649 8.016
5.010 -1.043 3.645
4.496 1.074 2.205
5.124 5.577 3.606
4.145 -5.577 8.016
1.878 1.649 3.606
7.035 0.848 6.615
4.252 -5.668 2.205
3.408 3.817 8.055
3.178 -3.356 6.615
1.801 -2.704 2.205
3.193 5.116 6.615
3.243 0.207 6.615
7.469 2.705 6.615
6.027 -0.207 2.205
6.077 -5.116 2.205
4.635 -2.676 4.945
4.635 2.676 3.875
4.635 2.676 0.535
4.635 -2.676 8.285
0.000 0.000 0.000
0.000 0.000 4.410

***

MnNiP r2SCAN relaxed; ΔH_f (0 K) = -1.958 eV per formula unit; ρ = 6.6 Mg/m³; total energy = -150.5 eV for the cell shown; V = 12.2 Å³ per atom; total moment = 3.83 μB per formula unit
1.0
-5.216 1.969 2.248
0.672 -1.743 3.086
3.114 5.485 2.419
P Ni Mn
4 4 4
Cartesian
1.508 4.882 3.483
-2.938 0.829 4.271
0.445 1.209 3.749
-1.874 4.502 4.005
1.172 2.912 2.443
-0.250 5.986 4.489
-1.180 -0.275 3.265
-2.601 2.799 5.310
0.120 3.325 5.014
0.583 0.564 1.246
-2.012 5.147 6.508
-1.550 2.387 2.740

***

MnNiSb r2SCAN relaxed; ΔH_f (0 K) = -1.282 eV per formula unit; ρ = 7.7 Mg/m³; total energy = -53.7 eV for the cell shown; V = 17.0 Å³ per atom; total moment = 4.05 μB per formula unit
1.0
0.893 -4.063 0.200
2.016 -1.846 -3.141
3.943 -1.243 0.501
Ni Mn Sb
1 1 1
Cartesian
0.000 0.000 0.000
1.713 -1.788 -0.610
5.139 -5.364 -1.830

***

MnNi2Sn r2SCAN relaxed; ΔH_f (0 K) = -1.101 eV per formula unit; ρ = 8.9 Mg/m³; total energy = -64.5 eV for the cell shown; V = 13.6 Å³ per atom; total moment = 4.44 μB per formula unit
1.0
3.686 0.000 2.128
1.229 3.476 2.128
0.000 0.000 4.257
Ni Sn Mn
2 1 1
Cartesian
3.686 2.607 6.385
1.229 0.869 2.128
2.458 1.738 4.257
0.000 0.000 0.000

***

MnO r2SCAN relaxed; ΔH_f (0 K) = -3.940 eV per formula unit; ρ = 5.5 Mg/m³; total energy = -98.4 eV for the cell shown; V = 10.7 Å³ per atom; total moment = 0.00 μB per formula unit
1.0
2.231 0.000 -2.231
0.000 -4.397 0.000
-4.379 0.000 -4.379
O Mn
4 4
Cartesian
-2.160 -2.199 -2.160
-0.010 0.000 -2.240
-2.199 0.000 -4.430
-4.349 -2.199 -4.349
-2.237 0.000 -2.237
0.068 -2.199 -2.162
-2.122 -2.199 -4.352
-0.048 0.000 -0.048

***

MnO r2SCAN relaxed; ΔH_f (0 K) = -3.833 eV per formula unit; ρ = 5.4 Mg/m³; total energy = -49.0 eV for the cell shown; V = 11.0 Å³ per atom; total moment = 5.00 μB per formula unit
1.0
-0.964 2.912 -0.692
-3.066 0.699 0.067
0.786 3.018 4.467
Mn O
2 2
Cartesian
0.000 0.000 0.000
-1.140 1.859 2.267
-0.659 3.894 3.021
-2.585 2.735 0.821

***

MnO r2SCAN relaxed; ΔH_f (0 K) = -3.772 eV per formula unit; ρ = 4.3 Mg/m³; total energy = -48.9 eV for the cell shown; V = 13.5 Å³ per atom; total moment = 5.00 μB per formula unit
1.0
3.420 0.000 0.000
-1.710 2.961 0.000
0.000 0.000 5.347
O Mn
2 2
Cartesian
1.710 0.988 4.747
0.000 1.973 2.073
0.000 1.975 5.340
1.710 0.986 2.667

***

Mn2P2O7 r2SCAN relaxed; ΔH_f (0 K) = -26.411 eV per formula unit; ρ = 3.8 Mg/m³; total energy = -231.2 eV for the cell shown; V = 11.3 Å³ per atom; total moment = 0.00 μB per formula unit
1.0
4.543 0.000 0.013
0.000 10.267 0.000
-0.678 0.000 5.337
Mn P O
4 4 14
Cartesian
0.182 6.711 2.183
4.022 1.578 0.499
-0.157 8.689 4.852
3.683 3.555 3.167
1.527 4.002 0.810
2.677 9.135 1.872
2.338 6.265 4.540
1.188 1.132 3.478
0.382 0.447 4.576
1.933 10.267 2.675
2.271 5.134 0.007
0.721 4.686 1.908
3.144 5.581 3.442
0.274 1.828 2.483
3.483 9.820 0.774
-0.065 3.305 5.151
3.592 8.438 2.867
1.252 7.166 3.983
2.274 2.032 4.036
3.930 6.962 0.199
1.591 8.235 1.314
2.613 3.101 1.368

***

MnPO4 r2SCAN relaxed; ΔH_f (0 K) = -14.009 eV per formula unit; ρ = 3.8 Mg/m³; total energy = -123.2 eV for the cell shown; V = 10.9 Å³ per atom; total moment = 4.00 μB per formula unit
1.0
-0.375 3.834 -2.630
-3.018 3.032 1.859
4.496 2.653 3.838
P O Mn
2 8 2
Cartesian
-0.052 3.044 0.692
1.155 6.476 2.374
2.268 5.905 1.454
0.260 4.092 -0.410
1.186 2.819 1.541
-0.558 1.785 0.009
0.843 5.428 3.476
-1.165 3.615 1.612
1.660 7.735 3.057
-0.084 6.701 1.525
1.478 5.686 5.696
1.873 5.161 -0.711

***

Mn3P4O14 r2SCAN relaxed; ΔH_f (0 K) = -48.884 eV per formula unit; ρ = 3.4 Mg/m³; total energy = -425.1 eV for the cell shown; V = 12.0 Å³ per atom; total moment = 13.00 μB per formula unit
1.0
8.071 0.000 0.000
0.000 7.084 0.000
0.000 3.208 8.827
O P Mn
28 8 6
Cartesian
8.036 4.987 1.609
0.948 2.978 5.500
6.925 2.914 0.722
6.899 7.430 7.120
0.739 0.507 1.023
5.182 4.518 5.135
5.208 5.826 2.707
4.071 6.591 6.023
4.984 8.918 7.740
1.146 7.378 8.105
2.241 9.808 7.685
0.847 7.149 5.634
4.883 4.748 7.606
3.297 2.111 5.437
0.035 5.305 7.218
3.087 1.374 1.086
7.333 9.785 7.803
6.277 2.089 5.555
4.000 3.701 2.804
1.794 8.204 3.271
4.774 8.181 3.390
5.830 0.485 1.142
7.123 7.314 3.327
3.188 5.545 1.220
7.224 3.144 3.193
2.863 4.467 6.120
2.889 5.774 3.691
1.172 2.863 1.707
4.327 5.113 6.240
1.762 1.397 1.758
3.744 5.179 2.587
7.779 3.509 1.826
2.274 3.001 6.171
6.309 8.896 7.069
5.797 7.292 2.655
0.292 6.783 7.000
5.089 2.895 4.181
0.000 1.604 4.413
2.982 7.398 4.646
1.054 5.794 0.233
4.036 0.000 0.000
7.018 4.499 8.594

***

Mn3P2O8 r2SCAN relaxed; ΔH_f (0 K) = -30.801 eV per formula unit; ρ = 3.7 Mg/m³; total energy = -281.3 eV for the cell shown; V = 12.2 Å³ per atom; total moment = 15.00 μB per formula unit; distance to the lowest polymorph of the same formula = 4 meV per atom
1.0
0.000 4.878 0.000
-0.158 0.000 10.549
6.166 0.000 0.013
O Mn P
16 6 4
Cartesian
4.377 1.191 4.154
3.253 3.824 3.578
4.608 3.295 0.387
0.415 1.591 1.907
2.834 1.385 1.709
4.528 4.022 5.662
1.400 1.583 10.174
5.593 3.287 8.654
1.479 0.856 4.900
1.631 3.687 6.407
2.754 1.054 6.983
1.710 3.630 1.133
5.672 4.029 3.380
0.335 0.848 7.181
3.174 3.493 8.853
4.298 1.248 9.428
1.401 4.814 2.978
1.322 2.503 8.252
3.004 2.439 5.281
3.083 0.000 0.006
4.686 2.375 2.309
4.606 0.064 7.583
1.511 0.330 6.343
4.418 2.769 9.492
4.496 4.547 4.218
1.590 2.108 1.069

***

Mn3P2O8 r2SCAN relaxed; ΔH_f (0 K) = -30.849 eV per formula unit; ρ = 3.8 Mg/m³; total energy = -281.4 eV for the cell shown; V = 12.0 Å³ per atom; total moment = 15.00 μB per formula unit; distance to the lowest polymorph of the same formula = 0 meV per atom
1.0
-0.131 6.056 2.758
-4.492 -1.200 2.422
0.805 -4.093 9.025
Mn O P
6 16 4
Cartesian
-0.314 -1.755 9.353
-0.691 -0.839 4.326
-2.246 -0.600 1.211
-1.909 0.382 7.102
-3.127 1.602 9.879
-3.504 2.518 4.851
-2.185 -2.499 10.073
-3.678 1.473 6.667
-1.241 1.724 8.876
-3.308 0.912 11.856
-3.327 4.514 5.738
-0.491 -3.751 8.467
-0.140 -0.710 7.538
-2.864 -0.368 8.959
-0.373 3.271 6.353
-0.954 1.131 5.246
-2.577 -0.961 5.329
-3.871 0.675 3.857
0.053 0.088 10.348
-1.633 3.262 4.132
-3.444 -2.508 7.852
-0.510 -0.149 2.349
-3.275 -1.827 9.224
-3.655 -0.800 4.248
-0.543 2.590 4.980
-0.163 1.563 9.957

***

Copy entry 4 word for word.
MnNi2Sn r2SCAN relaxed; ΔH_f (0 K) = -1.101 eV per formula unit; ρ = 8.9 Mg/m³; total energy = -64.5 eV for the cell shown; V = 13.6 Å³ per atom; total moment = 4.44 μB per formula unit
1.0
3.686 0.000 2.128
1.229 3.476 2.128
0.000 0.000 4.257
Ni Sn Mn
2 1 1
Cartesian
3.686 2.607 6.385
1.229 0.869 2.128
2.458 1.738 4.257
0.000 0.000 0.000

***

Question: Among the records above, which one has the highest ρ?
Answer: MnNi2Sn